K3VH2C2O10 | the Materials Project | PBE with a Hubbard U | optimized geometry; E_tot = -6.119 eV/atom; space-group type = No. 14; formation enthalpy at 0 K = -1.754 eV per atom
1.0
7.270 0.000 0.000
0.000 7.948 0.000
-2.710 0.000 17.574
K V H C O
12 4 8 8 40
direct
0.144 0.180 0.203
0.144 0.320 0.703
0.208 0.050 0.423
0.208 0.450 0.923
0.336 0.524 0.344
0.336 0.976 0.844
0.664 0.024 0.156
0.664 0.476 0.656
0.792 0.550 0.077
0.792 0.950 0.577
0.856 0.680 0.297
0.856 0.820 0.797
0.248 0.718 0.164
0.248 0.782 0.664
0.752 0.218 0.336
0.752 0.282 0.836
0.392 0.247 0.552
0.392 0.253 0.052
0.409 0.092 0.610
0.409 0.408 0.110
0.591 0.592 0.890
0.591 0.908 0.390
0.608 0.747 0.948
0.608 0.753 0.448
0.160 0.694 0.501
0.160 0.806 0.001
0.248 0.528 0.536
0.248 0.972 0.036
0.752 0.028 0.964
0.752 0.472 0.464
0.840 0.194 0.999
0.840 0.306 0.499
0.011 0.673 0.676
0.011 0.827 0.176
0.108 0.707 0.431
0.108 0.793 0.931
0.148 0.687 0.049
0.148 0.813 0.549
0.155 0.663 0.743
0.155 0.837 0.243
0.194 0.519 0.182
0.194 0.981 0.682
0.273 0.094 0.993
0.273 0.406 0.493
0.292 0.531 0.608
0.292 0.969 0.108
0.479 0.161 0.578
0.479 0.339 0.078
0.490 0.744 0.220
0.490 0.756 0.720
0.499 0.186 0.357
0.499 0.314 0.857
0.501 0.686 0.143
0.501 0.814 0.643
0.510 0.244 0.280
0.510 0.256 0.780
0.521 0.661 0.922
0.521 0.839 0.422
0.708 0.031 0.892
0.708 0.469 0.392
0.727 0.594 0.507
0.727 0.906 0.007
0.806 0.019 0.318
0.806 0.481 0.818
0.845 0.163 0.757
0.845 0.337 0.257
0.852 0.187 0.451
0.852 0.313 0.951
0.892 0.207 0.069
0.892 0.293 0.569
0.989 0.173 0.824
0.989 0.327 0.324